Computed, not measured: a geometry-optimized MgMn4Zn2O8 structure at the PBE+U level of DFT.

Lattice parameters (Å, degrees): 3.0382 5.2471 11.4268 80.72 85.69 77.59
With the nearest neighbours (Å) after each atom.
Element x y z (fractional)
Mg 0.0000 0.0000 0.0000  4 O 1.95-1.96
Mn 0.4976 0.9328 0.2420  4 O 2.07-2.20
Mn 0.6238 0.8106 0.7928  5 O 2.02-2.21
Mn 0.6655 0.3862 0.3909  5 O 2.06-2.26
Mn 0.9433 0.3229 0.6788  4 O 1.96-2.01
Zn 0.2010 0.8517 0.5363  4 O 2.00-2.18
Zn 0.2537 0.4846 0.1226  4 O 2.02-2.14
O 0.0265 0.0561 0.8273  1 Mg 1.95, 3 Mn 2.01-2.06
O 0.1132 0.6335 0.2793  1 Zn 2.05, 4 Mn 2.12-2.26
O 0.2142 0.5717 0.7539  3 Mn 2.01-2.06
O 0.2613 0.1106 0.3896  1 Zn 2.00, 3 Mn 2.06-2.09
O 0.5820 0.7577 0.0324  2 Mg 1.96, 1 Zn 2.02
O 0.6213 0.0824 0.6237  1 Mn 1.96, 1 Zn 2.18
O 0.8105 0.5777 0.5340  2 Mn 1.96-2.17, 2 Zn 2.06-2.09
O 0.8809 0.2034 0.1331  1 Mg 1.96, 2 Zn 2.03-2.14

Computed, not measured: a geometry-optimized MgMn4Zn2O8 structure at the PBE+U level of DFT.

Lattice parameters (Å, degrees): 6.0816 6.0834 6.3329 117.29 92.11 118.84
With the nearest neighbours (Å) after each atom.
Element x y z (fractional)
Mg 0.0000 0.0000 0.0000  6 O 2.08-2.19
Mn 0.0023 0.5023 0.9992  4 O 1.97-1.99
Mn 0.5024 0.0038 0.0008  4 O 1.97-2.00
Mn 0.5018 0.5024 0.9997  6 O 2.09-2.24
Mn 0.5049 0.0069 0.5002  6 O 2.22-2.34
Zn 0.1499 0.3246 0.4605  3 O 1.91-2.11
Zn 0.8641 0.6948 0.5391  3 O 1.91-2.11
O 0.2272 0.4881 0.2231  2 Mn 1.99-2.22, 1 Zn 2.11, 1 Mg 2.19
O 0.2429 0.0223 0.2606  1 Zn 2.06, 1 Mg 2.08, 1 Mn 2.22
O 0.2627 0.5648 0.8197  1 Zn 1.91, 3 Mn 1.97-2.09
O 0.2640 0.0054 0.7773  2 Mn 2.00-2.22, 1 Zn 2.11, 1 Mg 2.17
O 0.7415 0.0020 0.2231  1 Mn 1.99, 1 Zn 2.14, 1 Mg 2.15
O 0.7432 0.4427 0.1805  1 Zn 1.91, 3 Mn 1.97-2.09
O 0.7626 0.9864 0.7406  1 Zn 2.05, 1 Mg 2.09, 1 Mn 2.23
O 0.7791 0.5196 0.7766  1 Mn 1.99, 1 Mg 2.15, 1 Zn 2.16

Number 1: formation enthalpy at 0 K -1.940 eV per atom. Number 2: formation enthalpy at 0 K -1.971 eV per atom.